A relaxed K10Zr3CdMo12O48 crystal. Source: the Materials Project, functional PBE+U.

Geometry as POSCAR:
```
K10Zr3CdMo12O48
1.0
-11.759 -7.344 3.501
-2.820 -11.391 8.169
-7.339 -2.304 12.054
K Zr Cd Mo O
10 3 1 12 48
direct
0.895 0.895 0.895
0.601 0.601 0.601
0.115 0.879 0.507
0.879 0.507 0.115
0.507 0.115 0.879
0.398 0.398 0.398
0.384 0.610 0.007
0.007 0.384 0.610
0.610 0.007 0.384
0.104 0.104 0.104
0.001 0.001 0.001
0.751 0.751 0.751
0.249 0.249 0.249
0.501 0.501 0.501
0.230 0.988 0.631
0.988 0.631 0.230
0.518 0.871 0.269
0.631 0.230 0.988
0.269 0.518 0.871
0.871 0.269 0.518
0.485 0.733 0.129
0.129 0.485 0.733
0.014 0.771 0.369
0.733 0.129 0.485
0.771 0.369 0.014
0.369 0.014 0.771
0.758 0.947 0.644
0.644 0.758 0.947
0.947 0.644 0.758
0.548 0.859 0.744
0.215 0.957 0.926
0.957 0.926 0.215
0.859 0.744 0.548
0.744 0.548 0.859
0.396 0.865 0.651
0.926 0.215 0.957
0.865 0.651 0.396
0.603 0.872 0.315
0.183 0.902 0.634
0.651 0.396 0.865
0.315 0.603 0.872
0.902 0.634 0.183
0.643 0.842 0.107
0.872 0.315 0.603
0.451 0.731 0.424
0.107 0.643 0.842
0.634 0.183 0.902
0.424 0.451 0.731
0.362 0.897 0.153
0.731 0.424 0.451
0.842 0.107 0.643
0.553 0.579 0.268
0.268 0.553 0.579
0.098 0.818 0.369
0.153 0.362 0.897
0.579 0.268 0.553
0.398 0.686 0.131
0.897 0.153 0.362
0.818 0.369 0.098
0.131 0.398 0.686
0.139 0.607 0.345
0.369 0.098 0.818
0.686 0.131 0.398
0.607 0.345 0.139
0.045 0.786 0.077
0.345 0.139 0.607
0.144 0.452 0.255
0.452 0.255 0.144
0.786 0.077 0.045
0.077 0.045 0.786
0.255 0.144 0.452
0.241 0.359 0.052
0.052 0.241 0.359
0.359 0.052 0.241
```

MP2020-corrected energy = -7.790 eV/atom
Magnetization = 0.0 μB/f.u.



A relaxed Mg3Si4Ni2O14 crystal. Source: the Materials Project, functional PBE+U.

Geometry as POSCAR:
```
Mg3Si4Ni2O14
1.0
3.726 8.456 0.000
-3.726 8.456 0.000
0.000 5.472 7.969
Mg Si Ni O
6 8 4 28
direct
0.094 0.251 0.101
0.749 0.906 0.399
0.251 0.094 0.601
0.378 0.622 0.750
0.906 0.749 0.899
0.622 0.378 0.250
0.537 0.099 0.706
0.099 0.537 0.206
0.532 0.228 0.101
0.228 0.532 0.601
0.901 0.463 0.794
0.468 0.772 0.899
0.772 0.468 0.399
0.463 0.901 0.294
0.781 0.219 0.750
0.219 0.781 0.250
0.000 0.000 0.000
0.000 0.000 0.500
0.851 0.292 0.326
0.980 0.877 0.418
0.461 0.632 0.090
0.877 0.980 0.918
0.242 0.971 0.306
0.058 0.509 0.618
0.632 0.461 0.590
0.029 0.758 0.194
0.942 0.491 0.382
0.642 0.674 0.263
0.020 0.123 0.582
0.758 0.029 0.694
0.491 0.942 0.882
0.292 0.851 0.826
0.674 0.642 0.763
0.971 0.242 0.806
0.910 0.483 0.945
0.358 0.326 0.737
0.517 0.090 0.555
0.326 0.358 0.237
0.509 0.058 0.118
0.123 0.020 0.082
0.483 0.910 0.445
0.539 0.368 0.910
0.090 0.517 0.055
0.368 0.539 0.410
0.708 0.149 0.174
0.149 0.708 0.674
```

MP2020-corrected energy = -7.294 eV/atom
Magnetization = 4.0 μB/f.u.